No. 1
{"formula": "Na14Ta5Al3Si12O48", "functional": "PBE", "state": "relaxed", "lattice_angstrom": [[8.9695, 0.0000, 0.0000], [0.0184, 15.5229, 0.0000], [0.0121, 0.0386, 22.1510]], "species": ["Na", "Na", "Na", "Na", "Na", "Na", "Na", "Na", "Na", "Na", "Na", "Na", "Na", "Na", "Na", "Na", "Na", "Na", "Na", "Na", "Na", "Na", "Na", "Na", "Na", "Na", "Na", "Na", "Na", "Na", "Na", "Na", "Na", "Na", "Na", "Na", "Na", "Na", "Na", "Na", "Na", "Na", "Ta", "Ta", "Ta", "Ta", "Ta", "Ta", "Ta", "Ta", "Ta", "Ta", "Ta", "Ta", "Ta", "Ta", "Ta", "Al", "Al", "Al", "Al", "Al", "Al", "Al", "Al", "Al", "Si", "Si", "Si", "Si", "Si", "Si", "Si", "Si", "Si", "Si", "Si", "Si", "Si", "Si", "Si", "Si", "Si", "Si", "Si", "Si", "Si", "Si", "Si", "Si", "Si", "Si", "Si", "Si", "Si", "Si", "Si", "Si", "Si", "Si", "Si", "Si", "O", "O", "O", "O", "O", "O", "O", "O", "O", "O", "O", "O", "O", "O", "O", "O", "O", "O", "O", "O", "O", "O", "O", "O", "O", "O", "O", "O", "O", "O", "O", "O", "O", "O", "O", "O", "O", "O", "O", "O", "O", "O", "O", "O", "O", "O", "O", "O", "O", "O", "O", "O", "O", "O", "O", "O", "O", "O", "O", "O", "O", "O", "O", "O", "O", "O", "O", "O", "O", "O", "O", "O", "O", "O", "O", "O", "O", "O", "O", "O", "O", "O", "O", "O", "O", "O", "O", "O", "O", "O", "O", "O", "O", "O", "O", "O", "O", "O", "O", "O", "O", "O", "O", "O", "O", "O", "O", "O", "O", "O", "O", "O", "O", "O", "O", "O", "O", "O", "O", "O", "O", "O", "O", "O", "O", "O", "O", "O", "O", "O", "O", "O", "O", "O", "O", "O", "O", "O", "O", "O", "O", "O", "O", "O"], "fractional_positions": [[0.0000, 0.0000, 0.0000], [0.0003, 0.3335, 0.3334], [0.1269, 0.8383, 0.5854], [0.1294, 0.5089, 0.2503], [0.1323, 0.1711, 0.9137], [0.1326, 0.1717, 0.4143], [0.1349, 0.8364, 0.0824], [0.1365, 0.5087, 0.7508], [0.2632, 0.0005, 0.5001], [0.2656, 0.3333, 0.8332], [0.3094, 0.0244, 0.8334], [0.3113, 0.6925, 0.4999], [0.3150, 0.3526, 0.1706], [0.3237, 0.3227, 0.5001], [0.3241, 0.6582, 0.8329], [0.3236, 0.9893, 0.1675], [0.4418, 0.1570, 0.3328], [0.4431, 0.8250, 0.0003], [0.4508, 0.8535, 0.6723], [0.4573, 0.1901, 0.0004], [0.4568, 0.5252, 0.3326], [0.5010, 0.8335, 0.3326], [0.5033, 0.5009, 0.9994], [0.6269, 0.3383, 0.5853], [0.6324, 0.0046, 0.2466], [0.6328, 0.6721, 0.4141], [0.6332, 0.6727, 0.9139], [0.6363, 0.0085, 0.7517], [0.6365, 0.3404, 0.0825], [0.7621, 0.1665, 0.1673], [0.7630, 0.5007, 0.5002], [0.7646, 0.8341, 0.8339], [0.8086, 0.5247, 0.8326], [0.8092, 0.8588, 0.1678], [0.8111, 0.1922, 0.4999], [0.8236, 0.1570, 0.8334], [0.8237, 0.8228, 0.4999], [0.9402, 0.3212, 0.9989], [0.9408, 0.6575, 0.3327], [0.9507, 0.3534, 0.6723], [0.9529, 0.6938, 0.9987], [0.9563, 0.0244, 0.3328], [0.1287, 0.8386, 0.7313], [0.1313, 0.5081, 0.1083], [0.1324, 0.5052, 0.8976], [0.1328, 0.1705, 0.0661], [0.1334, 0.1714, 0.5678], [0.1331, 0.5052, 0.3980], [0.1347, 0.5071, 0.6093], [0.1345, 0.8356, 0.2312], [0.6285, 0.3383, 0.7312], [0.6320, 0.6729, 0.0671], [0.6329, 0.0052, 0.3975], [0.6326, 0.0051, 0.8992], [0.6333, 0.6715, 0.5678], [0.6347, 0.0071, 0.6094], [0.6352, 0.3414, 0.2317], [0.1322, 0.8396, 0.9376], [0.1331, 0.1710, 0.2720], [0.1327, 0.1713, 0.7729], [0.1328, 0.8386, 0.4376], [0.6322, 0.0045, 0.1051], [0.6323, 0.6721, 0.2721], [0.6325, 0.6717, 0.7729], [0.6330, 0.3372, 0.9374], [0.6330, 0.3384, 0.4376], [0.2710, 0.9839, 0.3378], [0.2747, 0.0298, 0.6738], [0.2763, 0.6541, 0.0013], [0.2775, 0.3136, 0.6730], [0.2825, 0.6960, 0.3389], [0.2842, 0.3596, 0.0025], [0.3440, 0.0016, 0.0052], [0.3450, 0.3349, 0.3382], [0.3477, 0.6706, 0.6738], [0.4201, 0.8352, 0.8380], [0.4223, 0.1685, 0.1721], [0.4270, 0.5024, 0.5022], [0.4815, 0.8595, 0.5026], [0.4836, 0.1961, 0.8384], [0.4895, 0.1537, 0.5017], [0.4903, 0.5310, 0.1730], [0.4919, 0.8174, 0.1723], [0.4946, 0.4842, 0.8387], [0.7720, 0.1509, 0.0052], [0.7718, 0.4849, 0.3389], [0.7746, 0.5298, 0.6738], [0.7778, 0.8137, 0.6730], [0.7818, 0.1967, 0.3378], [0.7822, 0.8623, 0.0054], [0.8387, 0.5025, 0.0021], [0.8456, 0.8349, 0.3379], [0.8479, 0.1705, 0.6739], [0.9165, 0.6703, 0.1735], [0.9197, 0.3349, 0.8376], [0.9267, 0.0024, 0.5021], [0.9814, 0.3594, 0.5027], [0.9828, 0.0284, 0.1725], [0.9836, 0.6968, 0.8384], [0.9894, 0.6538, 0.5018], [0.9903, 0.3149, 0.1725], [0.9936, 0.9845, 0.8385], [0.0137, 0.5885, 0.4435], [0.0151, 0.4213, 0.5607], [0.0155, 0.7556, 0.8971], [0.0155, 0.0900, 0.2296], [0.0156, 0.2556, 0.1111], [0.0164, 0.9194, 0.7800], [0.0195, 0.7589, 0.1758], [0.0255, 0.4241, 0.8423], [0.0266, 0.0908, 0.5081], [0.0268, 0.5868, 0.1636], [0.0294, 0.2526, 0.8306], [0.0295, 0.9180, 0.4959], [0.0637, 0.0799, 0.8305], [0.0640, 0.2649, 0.5076], [0.0649, 0.5996, 0.8423], [0.0648, 0.7472, 0.4959], [0.0647, 0.9327, 0.1756], [0.0664, 0.0717, 0.1121], [0.0674, 0.4044, 0.4445], [0.0668, 0.9389, 0.8970], [0.0678, 0.6032, 0.5584], [0.0686, 0.2712, 0.2302], [0.0686, 0.4095, 0.1634], [0.0711, 0.7394, 0.7798], [0.1953, 0.7391, 0.2804], [0.1961, 0.2714, 0.7298], [0.1969, 0.4089, 0.6626], [0.1982, 0.4047, 0.9447], [0.1978, 0.9384, 0.3964], [0.1985, 0.6035, 0.0586], [0.2005, 0.7475, 0.9962], [0.2012, 0.0798, 0.3297], [0.2008, 0.2654, 0.0082], [0.2006, 0.5994, 0.3424], [0.2041, 0.0725, 0.6107], [0.2069, 0.9310, 0.6752], [0.2365, 0.9189, 0.9965], [0.2365, 0.2522, 0.3301], [0.2394, 0.5864, 0.6633], [0.2400, 0.0908, 0.0090], [0.2401, 0.4241, 0.3422], [0.2455, 0.0883, 0.7310], [0.2454, 0.7590, 0.6753], [0.2462, 0.2572, 0.6102], [0.2501, 0.4213, 0.0612], [0.2506, 0.7556, 0.3973], [0.2509, 0.9211, 0.2782], [0.2516, 0.5884, 0.9436], [0.3037, 0.8502, 0.4959], [0.3057, 0.1840, 0.8299], [0.3072, 0.1596, 0.5076], [0.3083, 0.4918, 0.8423], [0.3081, 0.8286, 0.1755], [0.3093, 0.5144, 0.1635], [0.3120, 0.4880, 0.5586], [0.3144, 0.1549, 0.2296], [0.3145, 0.8211, 0.8964], [0.3158, 0.1895, 0.1118], [0.3172, 0.5230, 0.4437], [0.3169, 0.8565, 0.7777], [0.4491, 0.0230, 0.9450], [0.4488, 0.3563, 0.2781], [0.4492, 0.6873, 0.6113], [0.4506, 0.3213, 0.3964], [0.4506, 0.6578, 0.7314], [0.4509, 0.9882, 0.0629], [0.4566, 0.0148, 0.6632], [0.4569, 0.9919, 0.3423], [0.4582, 0.3257, 0.6749], [0.4585, 0.6592, 0.0077], [0.4603, 0.6836, 0.3303], [0.4620, 0.3503, 0.9965], [0.5137, 0.0887, 0.4434], [0.5143, 0.2557, 0.8970], [0.5151, 0.9213, 0.5608], [0.5161, 0.4193, 0.7801], [0.5185, 0.7568, 0.1111], [0.5204, 0.5877, 0.2315], [0.5255, 0.9243, 0.8424], [0.5256, 0.2573, 0.1756], [0.5266, 0.5908, 0.5081], [0.5283, 0.0850, 0.1632], [0.5294, 0.4179, 0.4959], [0.5294, 0.7526, 0.8305], [0.5593, 0.4315, 0.1756], [0.5620, 0.5722, 0.1105], [0.5636, 0.5797, 0.8307], [0.5639, 0.7649, 0.5077], [0.5650, 0.0994, 0.8423], [0.5649, 0.2472, 0.4958], [0.5646, 0.9128, 0.1631], [0.5674, 0.4385, 0.8974], [0.5675, 0.9047, 0.4444], [0.5678, 0.1034, 0.5584], [0.5682, 0.7714, 0.2298], [0.5708, 0.2398, 0.7800], [0.6962, 0.7713, 0.7298], [0.6971, 0.2381, 0.2780], [0.6970, 0.9089, 0.6625], [0.6976, 0.1044, 0.0630], [0.6982, 0.4386, 0.3971], [0.6979, 0.9044, 0.9450], [0.7006, 0.0999, 0.3422], [0.7014, 0.2463, 0.9963], [0.7014, 0.7657, 0.0088], [0.7020, 0.5801, 0.3308], [0.7042, 0.5725, 0.6107], [0.7068, 0.4310, 0.6753], [0.7361, 0.7528, 0.3306], [0.7366, 0.4179, 0.9964], [0.7394, 0.0864, 0.6633], [0.7393, 0.5910, 0.0084], [0.7406, 0.9242, 0.3424], [0.7454, 0.2590, 0.6754], [0.7453, 0.5882, 0.7312], [0.7462, 0.7571, 0.6102], [0.7492, 0.9227, 0.0629], [0.7501, 0.2562, 0.3962], [0.7499, 0.4196, 0.2803], [0.7511, 0.0881, 0.9450], [0.8037, 0.3501, 0.4959], [0.8047, 0.0170, 0.1633], [0.8059, 0.6839, 0.8300], [0.8071, 0.6594, 0.5076], [0.8078, 0.3221, 0.1754], [0.8077, 0.9922, 0.8421], [0.8121, 0.9881, 0.5586], [0.8150, 0.3218, 0.8963], [0.8151, 0.6577, 0.2319], [0.8170, 0.0232, 0.4436], [0.8171, 0.3570, 0.7775], [0.8165, 0.6876, 0.1115], [0.9492, 0.1875, 0.6113], [0.9486, 0.5229, 0.9439], [0.9496, 0.8568, 0.2781], [0.9507, 0.1581, 0.7314], [0.9509, 0.8213, 0.3963], [0.9539, 0.4883, 0.0590], [0.9574, 0.1590, 0.0091], [0.9566, 0.5148, 0.6633], [0.9578, 0.4918, 0.3423], [0.9583, 0.8256, 0.6749], [0.9600, 0.1837, 0.3297], [0.9601, 0.8501, 0.9965]], "e_tot_ev_per_cell": -1818.8, "magnetic_moment_mub_per_atom": 0.00, "energy_corrected_mp2020_ev_per_atom": -7.796, "ef_ev_per_atom": -3.0194}



No. 2
{"formula": "ZrCrSi2", "functional": "PBE", "state": "relaxed", "lattice_angstrom": [[9.1390, 0.0000, 0.0000], [0.0000, 9.8084, 0.0000], [0.0000, 0.0000, 8.0245]], "species": ["Zr", "Zr", "Zr", "Zr", "Zr", "Zr", "Zr", "Zr", "Zr", "Zr", "Zr", "Zr", "Cr", "Cr", "Cr", "Cr", "Cr", "Cr", "Cr", "Cr", "Cr", "Cr", "Cr", "Cr", "Si", "Si", "Si", "Si", "Si", "Si", "Si", "Si", "Si", "Si", "Si", "Si", "Si", "Si", "Si", "Si", "Si", "Si", "Si", "Si", "Si", "Si", "Si", "Si"], "fractional_positions": [[0.1695, 0.1799, 0.0000], [0.1724, 0.4521, 0.2466], [0.1724, 0.4521, 0.7534], [0.3276, 0.9521, 0.2466], [0.3276, 0.9521, 0.7534], [0.3305, 0.6799, 0.0000], [0.6695, 0.3201, 0.0000], [0.6724, 0.0479, 0.2466], [0.6724, 0.0479, 0.7534], [0.8276, 0.5479, 0.2466], [0.8276, 0.5479, 0.7534], [0.8305, 0.8201, 0.0000], [0.0000, 0.0000, 0.2456], [0.0000, 0.0000, 0.7544], [0.0794, 0.7538, 0.2495], [0.0794, 0.7538, 0.7505], [0.4206, 0.2538, 0.2495], [0.4206, 0.2538, 0.7505], [0.5000, 0.5000, 0.2456], [0.5000, 0.5000, 0.7544], [0.5794, 0.7462, 0.2495], [0.5794, 0.7462, 0.7505], [0.9206, 0.2462, 0.2495], [0.9206, 0.2462, 0.7505], [0.0394, 0.6206, 0.0000], [0.0403, 0.6253, 0.5000], [0.1097, 0.9015, 0.5000], [0.1243, 0.8960, 0.0000], [0.1708, 0.1811, 0.3510], [0.1708, 0.1811, 0.6490], [0.3292, 0.6811, 0.3510], [0.3292, 0.6811, 0.6490], [0.3757, 0.3960, 0.0000], [0.3903, 0.4015, 0.5000], [0.4597, 0.1253, 0.5000], [0.4606, 0.1206, 0.0000], [0.5394, 0.8794, 0.0000], [0.5403, 0.8747, 0.5000], [0.6097, 0.5985, 0.5000], [0.6243, 0.6040, 0.0000], [0.6708, 0.3189, 0.3510], [0.6708, 0.3189, 0.6490], [0.8292, 0.8189, 0.3510], [0.8292, 0.8189, 0.6490], [0.8757, 0.1040, 0.0000], [0.8903, 0.0985, 0.5000], [0.9597, 0.3747, 0.5000], [0.9606, 0.3794, 0.0000]], "e_tot_ev_per_cell": -378.4, "magnetic_moment_mub_per_atom": 0.00, "energy_corrected_mp2020_ev_per_atom": -7.848, "ef_ev_per_atom": -0.5856}



No. 3
{"formula": "NaSn2F5", "functional": "PBE", "state": "relaxed", "lattice_angstrom": [[9.2269, 0.0000, 0.0000], [0.0000, 9.2269, 0.0000], [0.0000, 0.0000, 14.0337]], "species": ["Na", "Na", "Na", "Na", "Na", "Na", "Na", "Na", "Sn", "Sn", "Sn", "Sn", "Sn", "Sn", "Sn", "Sn", "Sn", "Sn", "Sn", "Sn", "Sn", "Sn", "Sn", "Sn", "F", "F", "F", "F", "F", "F", "F", "F", "F", "F", "F", "F", "F", "F", "F", "F", "F", "F", "F", "F", "F", "F", "F", "F", "F", "F", "F", "F", "F", "F", "F", "F", "F", "F", "F", "F", "F", "F", "F", "F"], "fractional_positions": [[0.2500, 0.2500, 0.0000], [0.2500, 0.2500, 0.2500], [0.2500, 0.2500, 0.5000], [0.2500, 0.2500, 0.7500], [0.7500, 0.7500, 0.0000], [0.7500, 0.7500, 0.2500], [0.7500, 0.7500, 0.5000], [0.7500, 0.7500, 0.7500], [0.0648, 0.5819, 0.1173], [0.0648, 0.9181, 0.8827], [0.0819, 0.5648, 0.6173], [0.0819, 0.9352, 0.3827], [0.4181, 0.5648, 0.3827], [0.4181, 0.9352, 0.6173], [0.4352, 0.5819, 0.8827], [0.4352, 0.9181, 0.1173], [0.5648, 0.0819, 0.8827], [0.5648, 0.4181, 0.1173], [0.5819, 0.0648, 0.3827], [0.5819, 0.4352, 0.6173], [0.9181, 0.0648, 0.6173], [0.9181, 0.4352, 0.3827], [0.9352, 0.0819, 0.1173], [0.9352, 0.4181, 0.8827], [0.0310, 0.1202, 0.9510], [0.0310, 0.3798, 0.0490], [0.0565, 0.0565, 0.7500], [0.0565, 0.4435, 0.2500], [0.1000, 0.1608, 0.3650], [0.1000, 0.3392, 0.6350], [0.1202, 0.0310, 0.5490], [0.1202, 0.4690, 0.4510], [0.1608, 0.1000, 0.1350], [0.1608, 0.4000, 0.8650], [0.3392, 0.1000, 0.8650], [0.3392, 0.4000, 0.1350], [0.3798, 0.0310, 0.4510], [0.3798, 0.4690, 0.5490], [0.4000, 0.1608, 0.6350], [0.4000, 0.3392, 0.3650], [0.4435, 0.0565, 0.2500], [0.4435, 0.4435, 0.7500], [0.4690, 0.1202, 0.0490], [0.4690, 0.3798, 0.9510], [0.5310, 0.6202, 0.0490], [0.5310, 0.8798, 0.9510], [0.5565, 0.5565, 0.2500], [0.5565, 0.9435, 0.7500], [0.6000, 0.6608, 0.6350], [0.6000, 0.8392, 0.3650], [0.6202, 0.5310, 0.4510], [0.6202, 0.9690, 0.5490], [0.6608, 0.6000, 0.8650], [0.6608, 0.9000, 0.1350], [0.8392, 0.6000, 0.1350], [0.8392, 0.9000, 0.8650], [0.8798, 0.5310, 0.5490], [0.8798, 0.9690, 0.4510], [0.9000, 0.6608, 0.3650], [0.9000, 0.8392, 0.6350], [0.9435, 0.5565, 0.7500], [0.9435, 0.9435, 0.2500], [0.9690, 0.6202, 0.9510], [0.9690, 0.8798, 0.0490]], "e_tot_ev_per_cell": -305.3, "energy_corrected_mp2020_ev_per_atom": -5.059, "ef_ev_per_atom": -2.6943}



No. 4
{"formula": "MgTi2Zn2Si2O10", "functional": "PBE", "state": "relaxed", "lattice_angstrom": [[5.5550, 0.0000, 0.0000], [-0.5420, 5.5473, 0.0000], [-2.2000, -2.2229, 6.6911]], "species": ["Mg", "Ti", "Ti", "Zn", "Zn", "Si", "Si", "O", "O", "O", "O", "O", "O", "O", "O", "O", "O"], "fractional_positions": [[0.0000, 0.0000, 0.0000], [0.8195, 0.6185, 0.1621], [0.8207, 0.6095, 0.6358], [0.2720, 0.5390, 0.0390], [0.6806, 0.0592, 0.5205], [0.1727, 0.2482, 0.3995], [0.4614, 0.9977, 0.8961], [0.0898, 0.3708, 0.2084], [0.1100, 0.9439, 0.2736], [0.1537, 0.9209, 0.7796], [0.4814, 0.3332, 0.5278], [0.5217, 0.3060, 0.0228], [0.5372, 0.8279, 0.0518], [0.6641, 0.9545, 0.7707], [0.7300, 0.7228, 0.4042], [0.9229, 0.5946, 0.9153], [0.9843, 0.3155, 0.5322]], "e_tot_ev_per_cell": -120.5, "magnetic_moment_mub_per_atom": 0.12, "energy_corrected_mp2020_ev_per_atom": -7.490, "ef_ev_per_atom": -2.7701}



No. 5
{"formula": "CaSn2Pd", "functional": "PBE", "state": "relaxed", "lattice_angstrom": [[4.4598, 0.0000, 0.0000], [0.0000, 11.2762, 0.0000], [0.0000, 0.0000, 7.5821]], "species": ["Ca", "Ca", "Ca", "Ca", "Sn", "Sn", "Sn", "Sn", "Sn", "Sn", "Sn", "Sn", "Pd", "Pd", "Pd", "Pd"], "fractional_positions": [[0.0000, 0.0694, 0.2500], [0.0000, 0.9306, 0.7500], [0.5000, 0.4306, 0.7500], [0.5000, 0.5694, 0.2500], [0.0000, 0.3583, 0.0447], [0.0000, 0.3583, 0.4553], [0.0000, 0.6417, 0.5447], [0.0000, 0.6417, 0.9553], [0.5000, 0.1417, 0.5447], [0.5000, 0.1417, 0.9553], [0.5000, 0.8583, 0.0447], [0.5000, 0.8583, 0.4553], [0.0000, 0.2045, 0.7500], [0.0000, 0.7955, 0.2500], [0.5000, 0.2955, 0.2500], [0.5000, 0.7045, 0.7500]], "e_tot_ev_per_cell": -71.5, "ef_ev_per_atom": -0.6663}



No. 6
{"formula": "KGe", "functional": "PBE", "state": "relaxed", "lattice_angstrom": [[-5.4387, 5.4387, 8.8442], [5.4387, -5.4387, 8.8442], [5.4387, 5.4387, -8.8442]], "species": ["K", "K", "K", "K", "K", "K", "K", "K", "K", "K", "K", "K", "K", "K", "K", "K", "Ge", "Ge", "Ge", "Ge", "Ge", "Ge", "Ge", "Ge", "Ge", "Ge", "Ge", "Ge", "Ge", "Ge", "Ge", "Ge"], "fractional_positions": [[0.0018, 0.2518, 0.5036], [0.1160, 0.7500, 0.8660], [0.2482, 0.4982, 0.9964], [0.2500, 0.1160, 0.8660], [0.2500, 0.6160, 0.3660], [0.2518, 0.2482, 0.2500], [0.3840, 0.2500, 0.6340], [0.4982, 0.0018, 0.2500], [0.5018, 0.9982, 0.7500], [0.6160, 0.7500, 0.3660], [0.7482, 0.7518, 0.7500], [0.7500, 0.3840, 0.6340], [0.7500, 0.8840, 0.1340], [0.7518, 0.5018, 0.0036], [0.8840, 0.2500, 0.1340], [0.9982, 0.7482, 0.4964], [0.0159, 0.7169, 0.0866], [0.0706, 0.9841, 0.2010], [0.1303, 0.9294, 0.4134], [0.2169, 0.5159, 0.5866], [0.2831, 0.8697, 0.2990], [0.3697, 0.7831, 0.7990], [0.4294, 0.6303, 0.9134], [0.4841, 0.5706, 0.7010], [0.5159, 0.4294, 0.2990], [0.5706, 0.3697, 0.0866], [0.6303, 0.2169, 0.2010], [0.7169, 0.1303, 0.7010], [0.7831, 0.4841, 0.4134], [0.8697, 0.0706, 0.5866], [0.9294, 0.0159, 0.7990], [0.9841, 0.2831, 0.9134]], "e_tot_ev_per_cell": -98.2, "ef_ev_per_atom": -0.2032}